[1]
{
  "formula": "Nd3S2Cl5",
  "functional": "GGA-PBE",
  "state": "relaxed",
  "ef_ev_per_atom": -2.63,
  "vol_a3_per_atom": 25.8,
  "lattice": [[22.122, 0.000, 0.000], [0.000, 6.629, 0.000], [-0.968, 0.000, 7.028]],
  "species": ["Nd", "Nd", "Nd", "Nd", "Nd", "Nd", "Nd", "Nd", "Nd", "Nd", "Nd", "Nd", "S", "S", "S", "S", "S", "S", "S", "S", "Cl", "Cl", "Cl", "Cl", "Cl", "Cl", "Cl", "Cl", "Cl", "Cl", "Cl", "Cl", "Cl", "Cl", "Cl", "Cl", "Cl", "Cl", "Cl", "Cl"],
  "fractional_positions": [[0.096, 0.045, 0.204], [0.096, 0.455, 0.704], [0.249, 0.044, 0.857], [0.249, 0.456, 0.357], [0.400, 0.045, 0.337], [0.400, 0.455, 0.837], [0.600, 0.545, 0.163], [0.600, 0.955, 0.663], [0.751, 0.544, 0.643], [0.751, 0.956, 0.143], [0.904, 0.545, 0.296], [0.904, 0.955, 0.796], [0.168, 0.190, 0.532], [0.168, 0.310, 0.032], [0.326, 0.191, 0.598], [0.326, 0.309, 0.098], [0.674, 0.691, 0.902], [0.674, 0.809, 0.402], [0.832, 0.690, 0.968], [0.832, 0.810, 0.468], [0.013, 0.230, 0.899], [0.013, 0.270, 0.399], [0.125, 0.669, 0.379], [0.125, 0.831, 0.879], [0.253, 0.639, 0.723], [0.253, 0.861, 0.223], [0.380, 0.657, 0.482], [0.380, 0.843, 0.982], [0.481, 0.181, 0.657], [0.481, 0.319, 0.157], [0.519, 0.681, 0.843], [0.519, 0.819, 0.343], [0.620, 0.157, 0.018], [0.620, 0.343, 0.518], [0.747, 0.139, 0.777], [0.747, 0.361, 0.277], [0.875, 0.169, 0.121], [0.875, 0.331, 0.621], [0.987, 0.730, 0.601], [0.987, 0.770, 0.101]]
}



[2]
{
  "formula": "Nd3SiS6Cl",
  "functional": "GGA-PBE",
  "state": "relaxed",
  "ef_ev_per_atom": -2.07,
  "vol_a3_per_atom": 24.7,
  "lattice": [[12.650, 0.000, 0.000], [0.000, 10.479, 0.000], [0.000, 0.000, 16.390]],
  "species": ["Nd", "Nd", "Nd", "Nd", "Nd", "Nd", "Nd", "Nd", "Nd", "Nd", "Nd", "Nd", "Nd", "Nd", "Nd", "Nd", "Nd", "Nd", "Nd", "Nd", "Nd", "Nd", "Nd", "Nd", "Si", "Si", "Si", "Si", "Si", "Si", "Si", "Si", "S", "S", "S", "S", "S", "S", "S", "S", "S", "S", "S", "S", "S", "S", "S", "S", "S", "S", "S", "S", "S", "S", "S", "S", "S", "S", "S", "S", "S", "S", "S", "S", "S", "S", "S", "S", "S", "S", "S", "S", "S", "S", "S", "S", "S", "S", "S", "S", "Cl", "Cl", "Cl", "Cl", "Cl", "Cl", "Cl", "Cl"],
  "fractional_positions": [[0.115, 0.250, 0.125], [0.118, 0.536, 0.612], [0.118, 0.964, 0.612], [0.123, 0.750, 0.139], [0.188, 0.044, 0.906], [0.188, 0.456, 0.906], [0.312, 0.544, 0.406], [0.312, 0.956, 0.406], [0.377, 0.250, 0.639], [0.382, 0.036, 0.112], [0.382, 0.464, 0.112], [0.385, 0.750, 0.625], [0.615, 0.250, 0.375], [0.618, 0.536, 0.888], [0.618, 0.964, 0.888], [0.623, 0.750, 0.361], [0.688, 0.044, 0.594], [0.688, 0.456, 0.594], [0.812, 0.544, 0.094], [0.812, 0.956, 0.094], [0.877, 0.250, 0.861], [0.882, 0.036, 0.388], [0.882, 0.464, 0.388], [0.885, 0.750, 0.875], [0.117, 0.250, 0.741], [0.164, 0.750, 0.778], [0.336, 0.250, 0.278], [0.383, 0.750, 0.241], [0.617, 0.250, 0.759], [0.664, 0.750, 0.722], [0.836, 0.250, 0.222], [0.883, 0.750, 0.259], [0.023, 0.750, 0.708], [0.029, 0.083, 0.770], [0.029, 0.417, 0.770], [0.063, 0.250, 0.954], [0.119, 0.750, 0.902], [0.145, 0.250, 0.613], [0.158, 0.510, 0.070], [0.158, 0.990, 0.070], [0.188, 0.750, 0.528], [0.231, 0.750, 0.301], [0.240, 0.091, 0.247], [0.240, 0.409, 0.247], [0.260, 0.591, 0.747], [0.260, 0.909, 0.747], [0.269, 0.250, 0.801], [0.312, 0.250, 0.028], [0.342, 0.010, 0.570], [0.342, 0.490, 0.570], [0.355, 0.750, 0.113], [0.381, 0.250, 0.402], [0.437, 0.750, 0.454], [0.471, 0.583, 0.270], [0.471, 0.917, 0.270], [0.477, 0.250, 0.208], [0.523, 0.750, 0.792], [0.529, 0.083, 0.730], [0.529, 0.417, 0.730], [0.563, 0.250, 0.546], [0.619, 0.750, 0.598], [0.645, 0.250, 0.887], [0.658, 0.510, 0.430], [0.658, 0.990, 0.430], [0.688, 0.750, 0.972], [0.731, 0.750, 0.199], [0.740, 0.091, 0.253], [0.740, 0.409, 0.253], [0.760, 0.591, 0.753], [0.760, 0.909, 0.753], [0.769, 0.250, 0.699], [0.812, 0.250, 0.472], [0.842, 0.010, 0.930], [0.842, 0.490, 0.930], [0.855, 0.750, 0.387], [0.881, 0.250, 0.098], [0.937, 0.750, 0.046], [0.971, 0.583, 0.230], [0.971, 0.917, 0.230], [0.977, 0.250, 0.292], [0.103, 0.043, 0.440], [0.103, 0.457, 0.440], [0.397, 0.543, 0.940], [0.397, 0.957, 0.940], [0.603, 0.043, 0.060], [0.603, 0.457, 0.060], [0.897, 0.543, 0.560], [0.897, 0.957, 0.560]]
}



[3]
{
  "formula": "NdTeCl",
  "functional": "GGA-PBE",
  "state": "relaxed",
  "ef_ev_per_atom": -2.03,
  "vol_a3_per_atom": 27.6,
  "lattice": [[4.481, 0.000, 0.000], [0.000, 4.481, 0.000], [0.000, 0.000, 8.246]],
  "species": ["Nd", "Nd", "Te", "Te", "Cl", "Cl"],
  "fractional_positions": [[0.250, 0.250, 0.239], [0.750, 0.750, 0.761], [0.250, 0.250, 0.634], [0.750, 0.750, 0.366], [0.250, 0.750, 0.000], [0.750, 0.250, 0.000]]
}



[4]
{
  "formula": "Ni15Cl16",
  "functional": "GGA-PBE",
  "state": "relaxed",
  "ef_ev_per_atom": -0.33,
  "magnetic_moment_mub_per_fu": 16.00,
  "vol_a3_per_atom": 15.6,
  "lattice": [[-4.948, 4.948, 4.948], [4.948, -4.948, 4.948], [4.948, 4.948, -4.948]],
  "species": ["Ni", "Ni", "Ni", "Ni", "Ni", "Ni", "Ni", "Ni", "Ni", "Ni", "Ni", "Ni", "Ni", "Ni", "Ni", "Cl", "Cl", "Cl", "Cl", "Cl", "Cl", "Cl", "Cl", "Cl", "Cl", "Cl", "Cl", "Cl", "Cl", "Cl", "Cl"],
  "fractional_positions": [[0.000, 0.245, 0.755], [0.000, 0.500, 0.500], [0.000, 0.755, 0.245], [0.245, 0.000, 0.755], [0.245, 0.245, 0.491], [0.245, 0.491, 0.245], [0.245, 0.755, 0.000], [0.491, 0.245, 0.245], [0.500, 0.000, 0.500], [0.500, 0.500, 0.000], [0.509, 0.755, 0.755], [0.755, 0.000, 0.245], [0.755, 0.245, 0.000], [0.755, 0.509, 0.755], [0.755, 0.755, 0.509], [0.000, 0.000, 0.500], [0.000, 0.263, 0.263], [0.000, 0.500, 0.000], [0.000, 0.737, 0.737], [0.250, 0.500, 0.750], [0.250, 0.750, 0.500], [0.263, 0.000, 0.263], [0.263, 0.263, 0.000], [0.500, 0.000, 0.000], [0.500, 0.250, 0.750], [0.500, 0.500, 0.500], [0.500, 0.750, 0.250], [0.737, 0.000, 0.737], [0.737, 0.737, 0.000], [0.750, 0.250, 0.500], [0.750, 0.500, 0.250]]
}



[5]
{
  "formula": "NiCl",
  "functional": "GGA-PBE",
  "state": "relaxed",
  "ef_ev_per_atom": -0.23,
  "magnetic_moment_mub_per_fu": 1.00,
  "vol_a3_per_atom": 15.2,
  "lattice": [[4.958, 0.000, 0.000], [0.000, 4.958, 0.000], [0.000, 0.000, 4.958]],
  "species": ["Ni", "Ni", "Ni", "Ni", "Cl", "Cl", "Cl", "Cl"],
  "fractional_positions": [[0.000, 0.000, 0.000], [0.000, 0.500, 0.500], [0.500, 0.000, 0.500], [0.500, 0.500, 0.000], [0.000, 0.000, 0.500], [0.000, 0.500, 0.000], [0.500, 0.000, 0.000], [0.500, 0.500, 0.500]]
}



[6]
{
  "formula": "Ni5Cl6",
  "functional": "GGA-PBE",
  "state": "relaxed",
  "ef_ev_per_atom": -0.52,
  "magnetic_moment_mub_per_fu": 6.00,
  "vol_a3_per_atom": 17.0,
  "lattice": [[3.121, -5.167, 0.000], [3.121, 5.167, 0.000], [-2.233, 0.000, 5.802]],
  "species": ["Ni", "Ni", "Ni", "Ni", "Ni", "Cl", "Cl", "Cl", "Cl", "Cl", "Cl"],
  "fractional_positions": [[0.000, 0.000, 0.000], [0.172, 0.828, 0.500], [0.333, 0.667, 0.000], [0.667, 0.333, 0.000], [0.828, 0.172, 0.500], [0.037, 0.385, 0.257], [0.260, 0.260, 0.784], [0.385, 0.037, 0.257], [0.615, 0.963, 0.743], [0.740, 0.740, 0.216], [0.963, 0.615, 0.743]]
}